[1]
Here is a geometry-optimized RbCu3P3O8F6 structure from the Materials Project. Energies are from PBE.

CIF file:
```
data_RbCu3P3O8F6
_chemical_formula_sum 'Rb4 Cu12 P12 O32 F24'
_space_group_name_H-M_alt 'C 1 2/c 1'
_space_group_IT_number 15
_space_group_name_Hall '-C 2yc'
_cell_length_a 21.239
_cell_length_b 7.815
_cell_length_c 7.686
_cell_angle_alpha 90.00
_cell_angle_beta 100.24
_cell_angle_gamma 90.00
loop_
_atom_site_label
_atom_site_type_symbol
_atom_site_fract_x
_atom_site_fract_y
_atom_site_fract_z
_atom_site_occupancy
Rb1 Rb 0.000 0.153 0.250 1
Cu1 Cu 0.139 0.474 0.278 1
Cu2 Cu 0.250 0.250 0.000 1
P1 P 0.000 0.344 0.750 1
P2 P 0.167 0.185 0.597 1
O1 O 0.026 0.233 0.910 1
O2 O 0.053 0.465 0.702 1
O3 O 0.138 0.265 0.428 1
O4 O 0.191 0.292 0.759 1
F1 F 0.123 0.040 0.645 1
F2 F 0.186 0.366 0.097 1
F3 F 0.225 0.070 0.565 1
```

total magnetic moment: 0.143 μB per atom
E: -5.66 eV per atom

---

[2]
Here is a geometry-optimized LiNdP4O12 structure from the Materials Project. Energies are from PBE.

CIF file:
```
data_LiNdP4O12
_chemical_formula_sum 'Li4 Nd4 P16 O48'
_space_group_name_H-M_alt 'C 1 2/c 1'
_space_group_IT_number 15
_space_group_name_Hall '-C 2yc'
_cell_length_a 16.957
_cell_length_b 7.176
_cell_length_c 10.212
_cell_angle_alpha 90.00
_cell_angle_beta 126.95
_cell_angle_gamma 90.00
loop_
_atom_site_label
_atom_site_type_symbol
_atom_site_fract_x
_atom_site_fract_y
_atom_site_fract_z
_atom_site_occupancy
Li1 Li 0.000 0.000 0.000 1
Nd1 Nd 0.000 0.228 0.250 1
P1 P 0.136 0.448 0.111 1
P2 P 0.150 0.160 0.706 1
O1 O 0.071 0.491 0.436 1
O2 O 0.080 0.078 0.735 1
O3 O 0.105 0.286 0.165 1
O4 O 0.118 0.118 0.535 1
O5 O 0.160 0.382 0.736 1
O6 O 0.242 0.409 0.152 1
```

total magnetic moment: 0.000 μB per atom
E above lowest polymorph: 72 meV per atom
E: -7.27 eV per atom

---

[3]
Here is a geometry-optimized NbMoN3 structure from the Materials Project. Energies are from PBE.

CIF file:
```
data_NbMoN3
_chemical_formula_sum 'Nb4 Mo4 N12'
_space_group_name_H-M_alt 'P -1'
_space_group_IT_number 2
_space_group_name_Hall '-P 1'
_cell_length_a 5.399
_cell_length_b 5.845
_cell_length_c 8.338
_cell_angle_alpha 71.11
_cell_angle_beta 71.96
_cell_angle_gamma 82.01
loop_
_atom_site_label
_atom_site_type_symbol
_atom_site_fract_x
_atom_site_fract_y
_atom_site_fract_z
_atom_site_occupancy
Nb1 Nb 0.024 0.300 0.419 1
Nb2 Nb 0.457 0.112 0.648 1
Mo1 Mo 0.253 0.017 0.077 1
Mo2 Mo 0.388 0.611 0.869 1
N1 N 0.124 0.836 0.958 1
N2 N 0.158 0.960 0.348 1
N3 N 0.183 0.393 0.581 1
N4 N 0.252 0.376 0.135 1
N5 N 0.368 0.787 0.621 1
N6 N 0.445 0.259 0.850 1
```

total magnetic moment: 0.000 μB per atom
E: -9.54 eV per atom

---

[4]
Here is a geometry-optimized Na4MgSiGeP2O12 structure from the Materials Project. Energies are from PBE.

CIF file:
```
data_Na4MgSiGeP2O12
_chemical_formula_sum 'Na48 Mg12 Si12 Ge12 P24 O144'
_space_group_name_H-M_alt 'C 1 c 1'
_space_group_IT_number 9
_space_group_name_Hall 'C -2yc'
_cell_length_a 15.374
_cell_length_b 8.924
_cell_length_c 21.676
_cell_angle_alpha 90.00
_cell_angle_beta 90.58
_cell_angle_gamma 90.00
loop_
_atom_site_label
_atom_site_type_symbol
_atom_site_fract_x
_atom_site_fract_y
_atom_site_fract_z
_atom_site_occupancy
Na1 Na 0.000 0.130 0.000 1
Na2 Na 0.005 0.495 0.753 1
Na3 Na 0.026 0.178 0.669 1
Na4 Na 0.157 0.313 0.168 1
Na5 Na 0.164 0.364 0.832 1
Na6 Na 0.171 0.006 0.586 1
Na7 Na 0.189 0.322 0.504 1
Na8 Na 0.326 0.191 0.999 1
Na9 Na 0.332 0.135 0.666 1
Na10 Na 0.340 0.497 0.919 1
Na11 Na 0.357 0.177 0.334 1
Na12 Na 0.489 0.312 0.837 1
Mg1 Mg 0.003 0.499 0.397 1
Mg2 Mg 0.169 0.004 0.730 1
Mg3 Mg 0.338 0.500 0.064 1
Si1 Si 0.006 0.206 0.496 1
Si2 Si 0.022 0.145 0.829 1
Si3 Si 0.192 0.356 0.663 1
Ge1 Ge 0.009 0.493 0.600 1
Ge2 Ge 0.165 0.004 0.433 1
Ge3 Ge 0.338 0.499 0.266 1
P1 P 0.149 0.350 0.998 1
P2 P 0.173 0.291 0.331 1
P3 P 0.314 0.147 0.832 1
P4 P 0.339 0.207 0.164 1
P5 P 0.358 0.141 0.498 1
P6 P 0.483 0.348 0.664 1
O1 O 0.008 0.323 0.837 1
O2 O 0.027 0.314 0.559 1
O3 O 0.065 0.058 0.892 1
O4 O 0.075 0.090 0.172 1
O5 O 0.080 0.121 0.770 1
O6 O 0.089 0.371 0.057 1
O7 O 0.093 0.445 0.661 1
O8 O 0.094 0.394 0.338 1
O9 O 0.099 0.104 0.494 1
O10 O 0.108 0.420 0.941 1
O11 O 0.158 0.173 0.994 1
O12 O 0.160 0.195 0.274 1
O13 O 0.178 0.177 0.669 1
O14 O 0.193 0.190 0.391 1
O15 O 0.236 0.443 0.727 1
O16 O 0.240 0.418 0.005 1
O17 O 0.249 0.384 0.604 1
O18 O 0.254 0.122 0.891 1
O19 O 0.259 0.107 0.172 1
O20 O 0.259 0.390 0.329 1
O21 O 0.266 0.060 0.494 1
O22 O 0.274 0.075 0.775 1
O23 O 0.320 0.324 0.829 1
O24 O 0.325 0.303 0.107 1
O25 O 0.345 0.310 0.505 1
O26 O 0.359 0.308 0.224 1
O27 O 0.401 0.064 0.558 1
O28 O 0.406 0.082 0.838 1
O29 O 0.414 0.117 0.441 1
O30 O 0.423 0.372 0.724 1
O31 O 0.423 0.405 0.004 1
O32 O 0.423 0.443 0.325 1
O33 O 0.424 0.106 0.161 1
O34 O 0.443 0.423 0.608 1
O35 O 0.487 0.171 0.660 1
O36 O 0.489 0.194 0.937 1
```

total magnetic moment: 0.000 μB per atom
E: -6.37 eV per atom

---

[5]
Here is a geometry-optimized Na9Ca5TaP6S3O36 structure from the Materials Project. Energies are from PBE.

CIF file:
```
data_Na9Ca5TaP6S3O36
_chemical_formula_sum 'Na36 Ca20 Ta4 P24 S12 O144'
_space_group_name_H-M_alt 'C 1 c 1'
_space_group_IT_number 9
_space_group_name_Hall 'C -2yc'
_cell_length_a 16.191
_cell_length_b 9.365
_cell_length_c 22.792
_cell_angle_alpha 90.00
_cell_angle_beta 90.13
_cell_angle_gamma 90.00
loop_
_atom_site_label
_atom_site_type_symbol
_atom_site_fract_x
_atom_site_fract_y
_atom_site_fract_z
_atom_site_occupancy
Na1 Na 0.000 0.128 0.000 1
Na2 Na 0.012 0.183 0.685 1
Na3 Na 0.164 0.023 0.092 1
Na4 Na 0.168 0.335 0.848 1
Na5 Na 0.183 0.313 0.501 1
Na6 Na 0.307 0.182 0.998 1
Na7 Na 0.329 0.136 0.686 1
Na8 Na 0.338 0.491 0.420 1
Na9 Na 0.499 0.027 0.769 1
Ca1 Ca 0.000 0.497 0.112 1
Ca2 Ca 0.162 0.010 0.438 1
Ca3 Ca 0.164 0.014 0.256 1
Ca4 Ca 0.327 0.496 0.074 1
Ca5 Ca 0.329 0.491 0.282 1
Ta1 Ta 0.494 0.002 0.914 1
P1 P 0.007 0.169 0.850 1
P2 P 0.144 0.351 0.009 1
P3 P 0.159 0.321 0.353 1
P4 P 0.321 0.155 0.848 1
P5 P 0.349 0.148 0.515 1
P6 P 0.496 0.295 0.015 1
S1 S 0.178 0.337 0.680 1
S2 S 0.328 0.190 0.175 1
S3 S 0.481 0.355 0.676 1
O1 O 0.000 0.328 0.466 1
O2 O 0.001 0.278 0.575 1
O3 O 0.050 0.113 0.905 1
O4 O 0.064 0.075 0.181 1
O5 O 0.064 0.149 0.795 1
O6 O 0.070 0.103 0.509 1
O7 O 0.074 0.413 0.358 1
O8 O 0.089 0.405 0.955 1
O9 O 0.092 0.396 0.683 1
O10 O 0.096 0.383 0.065 1
O11 O 0.148 0.222 0.301 1
O12 O 0.160 0.189 0.005 1
O13 O 0.171 0.239 0.410 1
O14 O 0.172 0.177 0.679 1
O15 O 0.222 0.382 0.626 1
O16 O 0.224 0.383 0.733 1
O17 O 0.227 0.434 0.004 1
O18 O 0.227 0.436 0.347 1
O19 O 0.256 0.091 0.178 1
O20 O 0.262 0.083 0.508 1
O21 O 0.264 0.122 0.900 1
O22 O 0.288 0.089 0.790 1
O23 O 0.327 0.265 0.118 1
O24 O 0.328 0.294 0.224 1
O25 O 0.332 0.317 0.844 1
O26 O 0.348 0.312 0.507 1
O27 O 0.384 0.103 0.575 1
O28 O 0.406 0.101 0.181 1
O29 O 0.410 0.085 0.861 1
O30 O 0.410 0.086 0.465 1
O31 O 0.413 0.376 0.005 1
O32 O 0.420 0.390 0.344 1
O33 O 0.427 0.405 0.725 1
O34 O 0.444 0.398 0.619 1
O35 O 0.487 0.196 0.681 1
O36 O 0.499 0.160 0.357 1
```

total magnetic moment: 0.000 μB per atom
E: -6.63 eV per atom

---

Repeat the fifth record exactly.
Here is a geometry-optimized Na9Ca5TaP6S3O36 structure from the Materials Project. Energies are from PBE.

CIF file:
```
data_Na9Ca5TaP6S3O36
_chemical_formula_sum 'Na36 Ca20 Ta4 P24 S12 O144'
_space_group_name_H-M_alt 'C 1 c 1'
_space_group_IT_number 9
_space_group_name_Hall 'C -2yc'
_cell_length_a 16.191
_cell_length_b 9.365
_cell_length_c 22.792
_cell_angle_alpha 90.00
_cell_angle_beta 90.13
_cell_angle_gamma 90.00
loop_
_atom_site_label
_atom_site_type_symbol
_atom_site_fract_x
_atom_site_fract_y
_atom_site_fract_z
_atom_site_occupancy
Na1 Na 0.000 0.128 0.000 1
Na2 Na 0.012 0.183 0.685 1
Na3 Na 0.164 0.023 0.092 1
Na4 Na 0.168 0.335 0.848 1
Na5 Na 0.183 0.313 0.501 1
Na6 Na 0.307 0.182 0.998 1
Na7 Na 0.329 0.136 0.686 1
Na8 Na 0.338 0.491 0.420 1
Na9 Na 0.499 0.027 0.769 1
Ca1 Ca 0.000 0.497 0.112 1
Ca2 Ca 0.162 0.010 0.438 1
Ca3 Ca 0.164 0.014 0.256 1
Ca4 Ca 0.327 0.496 0.074 1
Ca5 Ca 0.329 0.491 0.282 1
Ta1 Ta 0.494 0.002 0.914 1
P1 P 0.007 0.169 0.850 1
P2 P 0.144 0.351 0.009 1
P3 P 0.159 0.321 0.353 1
P4 P 0.321 0.155 0.848 1
P5 P 0.349 0.148 0.515 1
P6 P 0.496 0.295 0.015 1
S1 S 0.178 0.337 0.680 1
S2 S 0.328 0.190 0.175 1
S3 S 0.481 0.355 0.676 1
O1 O 0.000 0.328 0.466 1
O2 O 0.001 0.278 0.575 1
O3 O 0.050 0.113 0.905 1
O4 O 0.064 0.075 0.181 1
O5 O 0.064 0.149 0.795 1
O6 O 0.070 0.103 0.509 1
O7 O 0.074 0.413 0.358 1
O8 O 0.089 0.405 0.955 1
O9 O 0.092 0.396 0.683 1
O10 O 0.096 0.383 0.065 1
O11 O 0.148 0.222 0.301 1
O12 O 0.160 0.189 0.005 1
O13 O 0.171 0.239 0.410 1
O14 O 0.172 0.177 0.679 1
O15 O 0.222 0.382 0.626 1
O16 O 0.224 0.383 0.733 1
O17 O 0.227 0.434 0.004 1
O18 O 0.227 0.436 0.347 1
O19 O 0.256 0.091 0.178 1
O20 O 0.262 0.083 0.508 1
O21 O 0.264 0.122 0.900 1
O22 O 0.288 0.089 0.790 1
O23 O 0.327 0.265 0.118 1
O24 O 0.328 0.294 0.224 1
O25 O 0.332 0.317 0.844 1
O26 O 0.348 0.312 0.507 1
O27 O 0.384 0.103 0.575 1
O28 O 0.406 0.101 0.181 1
O29 O 0.410 0.085 0.861 1
O30 O 0.410 0.086 0.465 1
O31 O 0.413 0.376 0.005 1
O32 O 0.420 0.390 0.344 1
O33 O 0.427 0.405 0.725 1
O34 O 0.444 0.398 0.619 1
O35 O 0.487 0.196 0.681 1
O36 O 0.499 0.160 0.357 1
```

total magnetic moment: 0.000 μB per atom
E: -6.63 eV per atom

---

Question: E of number 1 (RbCu3P3O8F6)?
Answer: -5.66 eV per atom